The following is a PBE calculation of a geometry-optimized SrLiSnSbO6 structure, from the Materials Project.

Output
Its energy of formation from the pure elements is -2.2178 eV per atom. For the magnetization, the calculation gives 0.0000 μB/atom.

Lattice parameters (Å, degrees): 5.6959 5.6959 5.6959 60.00 60.00 60.00
Positions (direct):
O  0.2458  0.7542  0.2458
O  0.2458  0.2458  0.7542
O  0.7542  0.7542  0.2458
O  0.7542  0.2458  0.7542
O  0.2458  0.7542  0.7542
O  0.7542  0.2458  0.2458
Li  0.7500  0.7500  0.7500
Sb  0.0000  0.0000  0.0000
Sn  0.5000  0.5000  0.5000
Sr  0.2500  0.2500  0.2500

---

The following is a PBE calculation of a geometry-optimized BaLiYCu2O5 structure, from the Materials Project.

Output
The energy above the most stable polymorph in this dataset is 0.003 eV/atom. Its energy of formation from the pure elements is -2.1249 eV per atom. For the magnetization, the calculation gives 0.0000 μB/atom.

Lattice parameters (Å, degrees): 3.8493 3.8493 9.9789 90.00 90.00 89.96
Positions (direct):
Y  0.0000  0.0000  0.4277
O  0.5000  0.5000  0.0370
O  0.0000  0.5000  0.3012
O  0.0000  0.5000  0.6026
O  0.5000  0.0000  0.6026
O  0.5000  0.0000  0.3012
Li  0.0000  0.0000  0.6923
Cu  0.5000  0.5000  0.6181
Cu  0.5000  0.5000  0.2541
Ba  0.0000  0.0000  0.0595

---

The following is a PBE calculation of a geometry-optimized NbTe4 structure, from the Materials Project.

Output
The energy above the most stable polymorph in this dataset is 0.004 eV/atom. Its energy of formation from the pure elements is -0.6687 eV per atom. For the magnetization, the calculation gives 0.0000 μB/atom.

Lattice parameters (Å, degrees): 9.3408 9.3408 20.9819 90.00 90.00 90.00
Positions (direct):
Te  0.5903  0.2380  0.0030
Te  0.7585  0.4171  0.8349
Te  0.0829  0.7415  0.3349
Te  0.5829  0.2415  0.6651
Te  0.2154  0.4045  0.6656
Te  0.5955  0.2154  0.3344
Te  0.2415  0.5829  0.8349
Te  0.2585  0.9171  0.1651
Te  0.2620  0.9097  0.5030
Te  0.2585  0.0829  0.6651
Te  0.7154  0.0955  0.8344
Te  0.0903  0.7380  0.9970
Te  0.7846  0.5955  0.6656
Te  0.2380  0.4097  0.9970
Te  0.2846  0.9045  0.8344
Te  0.2620  0.0903  0.0030
Te  0.4171  0.7585  0.6651
Te  0.9097  0.2620  0.9970
Te  0.5829  0.7585  0.1651
Te  0.9171  0.2585  0.3349
Te  0.2154  0.5955  0.1656
Te  0.2846  0.0955  0.3344
Te  0.0955  0.2846  0.1656
Te  0.4171  0.2415  0.1651
Te  0.4045  0.7846  0.3344
Te  0.5903  0.7620  0.5030
Te  0.9045  0.7154  0.1656
Te  0.4097  0.7620  0.0030
Te  0.7585  0.5829  0.3349
Te  0.5955  0.7846  0.8344
Te  0.7415  0.0829  0.1651
Te  0.4097  0.2380  0.5030
Te  0.2415  0.4171  0.3349
Te  0.2380  0.5903  0.4970
Te  0.7620  0.4097  0.4970
Te  0.7380  0.0903  0.5030
Te  0.7380  0.9097  0.0030
Te  0.4045  0.2154  0.8344
Te  0.0829  0.2585  0.8349
Te  0.0955  0.7154  0.6656
Te  0.7415  0.9171  0.6651
Te  0.0903  0.2620  0.4970
Te  0.9045  0.2846  0.6656
Te  0.7620  0.5903  0.9970
Te  0.9171  0.7415  0.8349
Te  0.7846  0.4045  0.1656
Te  0.7154  0.9045  0.3344
Te  0.9097  0.7380  0.4970
Nb  0.0000  0.5000  0.0691
Nb  0.0000  0.5000  0.9150
Nb  0.5000  0.0000  0.5850
Nb  0.0000  0.5000  0.5691
Nb  0.0000  0.5000  0.2621
Nb  0.5000  0.0000  0.9309
Nb  0.5000  0.0000  0.0850
Nb  0.5000  0.0000  0.4309
Nb  0.0000  0.5000  0.7621
Nb  0.0000  0.5000  0.4150
Nb  0.5000  0.0000  0.7379
Nb  0.5000  0.0000  0.2379

---

The following is a PBE calculation of a geometry-optimized PmTa3 structure, from the Materials Project.

Output
Its energy of formation from the pure elements is 0.4996 eV per atom. For the magnetization, the calculation gives 0.0001 μB/atom.

Lattice parameters (Å, degrees): 4.8933 4.8933 4.8933 60.00 60.00 60.00
Positions (direct):
Ta  0.2500  0.2500  0.2500
Ta  0.5000  0.5000  0.5000
Ta  0.7500  0.7500  0.7500
Pm  0.0000  0.0000  0.0000

---

The following is a PBE calculation of a geometry-optimized Rb3H5Pt structure, from the Materials Project.

Output
Its energy of formation from the pure elements is -0.3225 eV per atom.

Lattice parameters (Å, degrees): 7.8528 7.8528 6.0362 90.00 90.00 90.00
Positions (direct):
Pt  0.5000  0.0000  0.0000
Pt  0.0000  0.5000  0.0000
H  0.1079  0.3921  0.1917
H  0.0000  0.0000  0.5000
H  0.3921  0.8921  0.1917
H  0.6079  0.1079  0.8083
H  0.8921  0.6079  0.8083
H  0.5000  0.5000  0.5000
H  0.8921  0.6079  0.1917
H  0.1079  0.3921  0.8083
H  0.6079  0.1079  0.1917
H  0.3921  0.8921  0.8083
Rb  0.1836  0.6836  0.5000
Rb  0.0000  0.0000  0.0000
Rb  0.5000  0.5000  0.0000
Rb  0.3164  0.1836  0.5000
Rb  0.6836  0.8164  0.5000
Rb  0.8164  0.3164  0.5000

---

The following is a PBE calculation of a geometry-optimized RbCu2H2C3N3O structure, from the Materials Project.

Output
Its energy of formation from the pure elements is -0.2687 eV per atom. For the magnetization, the calculation gives 0.0001 μB/atom.

Lattice parameters (Å, degrees): 7.8097 8.3561 12.1745 90.00 92.21 90.00
Positions (direct):
C  0.7288  0.9771  0.5317
C  0.2677  0.4133  0.9599
C  0.7323  0.5867  0.0401
C  0.7712  0.4771  0.4683
C  0.5607  0.7255  0.7275
C  0.9393  0.2255  0.2725
C  0.2712  0.0229  0.4683
C  0.7677  0.0867  0.9599
C  0.2323  0.9133  0.0401
C  0.4393  0.2745  0.2725
C  0.0607  0.7745  0.7275
C  0.2288  0.5229  0.5317
N  0.1901  0.2966  0.9816
N  0.6901  0.2034  0.9816
N  0.7569  0.0964  0.4840
N  0.3099  0.7966  0.0184
N  0.4909  0.6828  0.8064
N  0.8099  0.7034  0.0184
N  0.2431  0.9036  0.5160
N  0.9909  0.8172  0.8064
N  0.5091  0.3172  0.1936
N  0.0091  0.1828  0.1936
N  0.2569  0.4036  0.4840
N  0.7431  0.5964  0.5160
Cu  0.1784  0.7169  0.6010
Cu  0.3731  0.6071  0.9317
Cu  0.3216  0.2169  0.3990
Cu  0.1269  0.1071  0.0683
Cu  0.6784  0.7831  0.6010
Cu  0.6269  0.3929  0.0683
Cu  0.8216  0.2831  0.3990
Cu  0.8731  0.8929  0.9317
O  0.4424  0.7214  0.3285
O  0.0576  0.2214  0.6715
O  0.9424  0.7786  0.3285
O  0.5576  0.2786  0.6715
H  0.6064  0.2206  0.6098
H  0.5188  0.6426  0.3640
H  0.4812  0.3574  0.6360
H  0.8936  0.7206  0.3902
H  0.1064  0.2794  0.6098
H  0.9812  0.1426  0.6360
H  0.0188  0.8574  0.3640
H  0.3936  0.7794  0.3902
Rb  0.6437  0.9401  0.2006
Rb  0.3563  0.0599  0.7994
Rb  0.8563  0.4401  0.7994
Rb  0.1437  0.5599  0.2006

---

The following is a PBE calculation of a geometry-optimized Li3In2P3O12 structure, from the Materials Project.

Output
The energy above the most stable polymorph in this dataset is 0.000 eV/atom. Its energy of formation from the pure elements is -2.5873 eV per atom. For the magnetization, the calculation gives 0.0000 μB/atom.

Lattice parameters (Å, degrees): 9.3095 9.3095 9.3094 55.38 55.38 55.38
Positions (direct):
Li  0.7328  0.3358  0.0725
Li  0.2672  0.6642  0.9275
Li  0.9275  0.2672  0.6642
Li  0.0725  0.7328  0.3358
Li  0.6642  0.9275  0.2672
Li  0.3358  0.0725  0.7328
O  0.1429  0.5572  0.2043
O  0.4645  0.8426  0.5027
O  0.5027  0.4645  0.8426
O  0.9953  0.4031  0.1922
O  0.4031  0.1922  0.9953
O  0.5355  0.1574  0.4973
O  0.4973  0.5355  0.1574
O  0.8621  0.1521  0.2502
O  0.1521  0.2502  0.8621
O  0.7498  0.1379  0.8479
O  0.8426  0.5027  0.4645
O  0.5969  0.8078  0.0047
O  0.0047  0.5969  0.8078
O  0.1574  0.4973  0.5355
O  0.5572  0.2043  0.1429
O  0.4428  0.7957  0.8571
O  0.7957  0.8571  0.4428
O  0.2502  0.8621  0.1521
O  0.1379  0.8479  0.7498
O  0.8571  0.4428  0.7957
O  0.8479  0.7498  0.1379
O  0.1922  0.9953  0.4031
O  0.8078  0.0047  0.5969
O  0.2043  0.1429  0.5572
P  0.7496  0.0460  0.4514
P  0.0460  0.4514  0.7496
P  0.2504  0.9540  0.5486
P  0.9540  0.5486  0.2504
P  0.5486  0.2504  0.9540
P  0.4514  0.7496  0.0460
In  0.1466  0.1466  0.1466
In  0.6545  0.6545  0.6545
In  0.8534  0.8534  0.8534
In  0.3455  0.3455  0.3455

---

The following is a PBE calculation of a geometry-optimized Na4P4H2O13 structure, from the Materials Project.

Output
Its energy of formation from the pure elements is -2.4471 eV per atom. For the magnetization, the calculation gives 0.0000 μB/atom.

Lattice parameters (Å, degrees): 6.3469 13.6117 13.8060 90.00 90.00 90.00
Positions (direct):
P  0.8444  0.3891  0.6145
P  0.3882  0.1076  0.1677
P  0.6556  0.6109  0.1145
P  0.6118  0.6076  0.3323
P  0.9025  0.6108  0.8315
P  0.0975  0.1108  0.6685
P  0.8882  0.3924  0.8323
P  0.4025  0.8892  0.1685
P  0.1556  0.8891  0.8855
P  0.1118  0.8924  0.6677
P  0.5975  0.3892  0.3315
P  0.3680  0.8902  0.3863
P  0.3444  0.1109  0.3855
P  0.8680  0.6098  0.6137
P  0.1320  0.1098  0.8863
P  0.6320  0.3902  0.1137
Na  0.6600  0.7877  0.9746
Na  0.3977  0.3019  0.7646
Na  0.6023  0.8019  0.7354
Na  0.8977  0.1981  0.2354
Na  0.1183  0.4955  0.4160
Na  0.1600  0.7123  0.0254
Na  0.3400  0.2877  0.5254
Na  0.3817  0.5045  0.9160
Na  0.1023  0.6981  0.2646
Na  0.8591  0.7906  0.4720
Na  0.1409  0.2906  0.0280
Na  0.8400  0.2123  0.4746
Na  0.6409  0.2094  0.9720
Na  0.6183  0.0045  0.5840
Na  0.8817  0.9955  0.0840
Na  0.3591  0.7094  0.5280
O  0.3459  0.8244  0.8873
O  0.2691  0.1848  0.6569
O  0.1192  0.5133  0.2385
O  0.7434  0.4977  0.1114
O  0.6192  0.9867  0.7615
O  0.2132  0.0031  0.6610
O  0.7691  0.3152  0.3431
O  0.4642  0.1132  0.2807
O  0.9132  0.8859  0.6095
O  0.4856  0.6245  0.0401
O  0.0413  0.6184  0.5404
O  0.5413  0.8816  0.4596
O  0.4872  0.8901  0.2813
O  0.0868  0.3859  0.8905
O  0.2088  0.1765  0.1497
O  0.4132  0.6141  0.3905
O  0.7912  0.6765  0.3503
O  0.2912  0.8235  0.6497
O  0.3808  0.4867  0.7385
O  0.0144  0.3755  0.5401
O  0.0128  0.1099  0.7813
O  0.5963  0.8868  0.1073
O  0.7566  0.5023  0.6114
O  0.5358  0.6132  0.2193
O  0.8459  0.6756  0.1127
O  0.7868  0.5031  0.8390
O  0.9872  0.6099  0.7187
O  0.1873  0.8189  0.3884
O  0.5128  0.3901  0.2187
O  0.1541  0.1756  0.3873
O  0.8127  0.3189  0.1116
O  0.4037  0.3868  0.3927
O  0.8808  0.0133  0.2615
O  0.2309  0.8152  0.1569
O  0.2434  0.0023  0.8886
O  0.7088  0.3235  0.8503
O  0.6873  0.6811  0.6116
O  0.9856  0.8755  0.9599
O  0.6541  0.3244  0.6127
O  0.5868  0.1141  0.1095
O  0.9642  0.3868  0.7193
O  0.9037  0.1132  0.6073
O  0.5144  0.1245  0.4599
O  0.0358  0.8868  0.7807
O  0.9587  0.1184  0.9596
O  0.2566  0.9977  0.3886
O  0.7309  0.6848  0.8431
O  0.2868  0.9969  0.1610
O  0.0963  0.6132  0.8927
O  0.4587  0.3816  0.0404
O  0.3127  0.1811  0.8884
O  0.7132  0.4969  0.3390
H  0.9906  0.9712  0.2887
H  0.7478  0.9826  0.2799
H  0.5094  0.0288  0.7887
H  0.7522  0.0174  0.7799
H  0.2478  0.5174  0.7201
H  0.4906  0.5288  0.7113
H  0.2522  0.4826  0.2201
H  0.0094  0.4712  0.2113

---

> The highest energy of formation from the pure elements belongs to which entry?

PmTa3

---

> energy of formation from the pure elements of number 4 (PmTa3)?

0.4996 eV per atom

---

> The highest energy of formation from the pure elements belongs to which entry?

PmTa3

---

> Which formula does entry 1 have?

SrLiSnSbO6